(1)
Li6Mn5SbO12 | PBE+U | optimized geometry

Cell: 5.318 5.318 10.448 Å, 93.33 93.33 117.06°
Sites, in units of the cell vectors:
Li  0.063  0.402  0.215
Li  0.264  0.264  0.785
Li  0.402  0.063  0.215
Li  0.598  0.937  0.785
Li  0.736  0.736  0.215
Li  0.937  0.598  0.785
Mn  0.000  0.000  0.000
Mn  0.167  0.833  0.500
Mn  0.332  0.668  0.000
Mn  0.668  0.332  0.000
Mn  0.833  0.167  0.500
Sb  0.500  0.500  0.500
O  0.069  0.713  0.117
O  0.174  0.498  0.394
O  0.201  0.201  0.599
O  0.287  0.931  0.883
O  0.397  0.397  0.109
O  0.498  0.174  0.394
O  0.502  0.826  0.606
O  0.603  0.603  0.891
O  0.713  0.069  0.117
O  0.799  0.799  0.401
O  0.826  0.502  0.606
O  0.931  0.287  0.883

Properties
- DFT formation energy (eV/atom) = -2.10
- energy relative to the lowest polymorph listed for this composition (eV per atom) = 0.013
- symmetry = C2/m, No. 12
- VASP energy (eV per cell) = -154.678


(2)
FeSO8 | PBE+U | optimized geometry

Cell: 6.669 8.854 11.637 Å, 80.56 84.78 88.06°
Sites, in units of the cell vectors:
Fe  0.179  0.440  0.068
Fe  0.201  0.415  0.760
Fe  0.799  0.585  0.240
Fe  0.821  0.560  0.932
S  0.089  0.313  0.347
S  0.473  0.737  0.075
S  0.527  0.263  0.925
S  0.911  0.687  0.653
O  0.008  0.200  0.741
O  0.012  0.529  0.659
O  0.034  0.866  0.917
O  0.050  0.809  0.602
O  0.101  0.479  0.906
O  0.121  0.810  0.328
O  0.163  0.298  0.222
O  0.170  0.903  0.841
O  0.261  0.304  0.418
O  0.347  0.594  0.113
O  0.350  0.873  0.058
O  0.389  0.257  0.831
O  0.399  0.288  0.034
O  0.403  0.009  0.230
O  0.413  0.429  0.610
O  0.447  0.537  0.667
O  0.553  0.463  0.333
O  0.587  0.571  0.390
O  0.597  0.991  0.770
O  0.601  0.712  0.966
O  0.611  0.743  0.169
O  0.650  0.127  0.942
O  0.653  0.406  0.887
O  0.739  0.696  0.582
O  0.830  0.097  0.159
O  0.837  0.702  0.778
O  0.879  0.190  0.672
O  0.899  0.521  0.094
O  0.950  0.191  0.398
O  0.966  0.134  0.083
O  0.988  0.471  0.341
O  0.992  0.800  0.259

Properties
- DFT formation energy (eV/atom) = -0.69
- energy relative to the lowest polymorph listed for this composition (eV per atom) = 0.014
- symmetry = P-1, No. 2
- VASP energy (eV per cell) = -222.326


(3)
Li4Co3Ni5O16 | PBE+U | optimized geometry

Cell: 5.644 5.644 9.386 Å, 90.02 90.02 60.07°
Sites, in units of the cell vectors:
Li  0.000  0.000  0.000
Li  0.002  0.002  0.500
Li  0.334  0.334  0.105
Li  0.669  0.669  0.603
Co  0.171  0.665  0.784
Co  0.665  0.171  0.784
Co  0.833  0.833  0.284
Ni  0.171  0.171  0.783
Ni  0.335  0.335  0.507
Ni  0.339  0.833  0.282
Ni  0.668  0.668  0.007
Ni  0.833  0.339  0.282
O  0.004  0.004  0.189
O  0.004  0.004  0.687
O  0.039  0.485  0.668
O  0.157  0.686  0.391
O  0.160  0.160  0.392
O  0.316  0.841  0.891
O  0.333  0.333  0.887
O  0.484  0.484  0.671
O  0.485  0.039  0.668
O  0.520  0.520  0.165
O  0.522  0.966  0.169
O  0.666  0.666  0.385
O  0.686  0.157  0.391
O  0.841  0.316  0.891
O  0.843  0.843  0.888
O  0.966  0.522  0.169

Properties
- DFT formation energy (eV/atom) = -1.30
- symmetry = Cm, No. 8
- VASP energy (eV per cell) = -144.834


(4)
Sr2MgZnMoO6 | PBE+U | optimized geometry

Cell: 5.453 5.799 6.077 Å, 110.76 106.15 100.67°
Sites, in units of the cell vectors:
Sr  0.177  0.248  0.422
Sr  0.823  0.752  0.578
Mg  0.500  0.500  0.000
Zn  0.500  0.000  0.000
Mo  0.000  0.500  0.000
O  0.140  0.197  0.831
O  0.243  0.677  0.835
O  0.348  0.617  0.297
O  0.652  0.383  0.703
O  0.757  0.323  0.165
O  0.860  0.803  0.169

Properties
- DFT formation energy (eV/atom) = -2.45
- energy relative to the lowest polymorph listed for this composition (eV per atom) = 0.077
- symmetry = P-1, No. 2
- VASP energy (eV per cell) = -66.441


(5)
NaMgNiO2 | PBE+U | optimized geometry

Cell: 2.978 4.706 5.512 Å, 74.46 89.76 82.90°
Sites, in units of the cell vectors:
Na  0.000  0.000  0.000
Mg  0.500  0.500  0.000
Ni  0.500  0.500  0.500
O  0.012  0.462  0.768
O  0.988  0.538  0.232

Properties
- DFT formation energy (eV/atom) = -1.11
- energy relative to the lowest polymorph listed for this composition (eV per atom) = 0.414
- symmetry = P-1, No. 2
- VASP energy (eV per cell) = -20.218


(6)
LiMn2O4 | PBE+U | optimized geometry

Cell: 5.208 5.761 5.912 Å, 117.28 89.63 106.47°
Sites, in units of the cell vectors:
Li  0.500  0.000  0.250
Li  0.500  0.000  0.750
Mn  0.000  0.000  0.500
Mn  0.000  0.500  0.000
Mn  0.000  0.000  0.000
Mn  0.000  0.500  0.500
O  0.781  0.238  0.600
O  0.781  0.238  0.100
O  0.219  0.762  0.400
O  0.219  0.762  0.900
O  0.200  0.220  0.349
O  0.200  0.220  0.849
O  0.800  0.780  0.651
O  0.800  0.780  0.151

Properties
- DFT formation energy (eV/atom) = -2.02
- energy relative to the lowest polymorph listed for this composition (eV per atom) = 0.046
- VASP energy (eV per cell) = -96.197


(7)
KMn2Cr2O10 | PBE+U | optimized geometry

Cell: 5.705 5.705 8.276 Å, 111.23 111.23 65.54°
Sites, in units of the cell vectors:
K  0.000  0.000  0.000
Mn  0.000  0.500  0.500
Mn  0.500  0.000  0.500
Cr  0.426  0.426  0.233
Cr  0.574  0.574  0.767
O  0.188  0.188  0.575
O  0.240  0.681  0.714
O  0.314  0.314  0.021
O  0.315  0.315  0.349
O  0.319  0.760  0.286
O  0.681  0.240  0.714
O  0.685  0.685  0.651
O  0.686  0.686  0.979
O  0.760  0.319  0.286
O  0.812  0.812  0.425

Properties
- DFT formation energy (eV/atom) = -1.77
- symmetry = C2/m, No. 12
- VASP energy (eV per cell) = -100.554


(8)
LiVNiO4 | PBE+U | optimized geometry

Cell: 10.403 6.028 4.931 Å, 90.00 90.00 90.00°
Sites, in units of the cell vectors:
Li  0.000  0.000  0.000
Li  0.000  0.500  0.000
Li  0.500  0.000  0.500
Li  0.500  0.500  0.500
V  0.095  0.250  0.430
V  0.405  0.750  0.930
V  0.595  0.250  0.070
V  0.905  0.750  0.570
Ni  0.231  0.750  0.493
Ni  0.269  0.250  0.993
Ni  0.731  0.750  0.007
Ni  0.769  0.250  0.507
O  0.060  0.750  0.703
O  0.096  0.250  0.783
O  0.169  0.022  0.273
O  0.169  0.478  0.273
O  0.331  0.522  0.773
O  0.331  0.978  0.773
O  0.404  0.750  0.283
O  0.440  0.250  0.203
O  0.560  0.750  0.797
O  0.596  0.250  0.717
O  0.669  0.022  0.227
O  0.669  0.478  0.227
O  0.831  0.522  0.727
O  0.831  0.978  0.727
O  0.904  0.750  0.217
O  0.940  0.250  0.297

Properties
- DFT formation energy (eV/atom) = -2.09
- energy relative to the lowest polymorph listed for this composition (eV per atom) = 0.022
- symmetry = Pnma, No. 62
- VASP energy (eV per cell) = -176.787


(9)
CrN3O4 | PBE+U | optimized geometry

Cell: 9.763 24.378 7.936 Å, 90.00 90.00 90.00°
Sites, in units of the cell vectors:
Cr  0.137  0.250  0.181
Cr  0.190  0.085  0.628
Cr  0.190  0.415  0.628
Cr  0.310  0.585  0.128
Cr  0.310  0.915  0.128
Cr  0.363  0.750  0.681
Cr  0.637  0.250  0.319
Cr  0.690  0.085  0.872
Cr  0.690  0.415  0.872
Cr  0.810  0.585  0.372
Cr  0.810  0.915  0.372
Cr  0.863  0.750  0.819
N  0.021  0.750  0.110
N  0.026  0.085  0.531
N  0.026  0.415  0.531
N  0.129  0.076  0.848
N  0.129  0.424  0.848
N  0.208  0.593  0.929
N  0.208  0.907  0.929
N  0.221  0.750  0.527
N  0.223  0.250  0.347
N  0.277  0.750  0.847
N  0.279  0.250  0.027
N  0.292  0.093  0.429
N  0.292  0.407  0.429
N  0.371  0.576  0.348
N  0.371  0.924  0.348
N  0.474  0.585  0.031
N  0.474  0.915  0.031
N  0.479  0.250  0.610
N  0.521  0.750  0.390
N  0.526  0.085  0.969
N  0.526  0.415  0.969
N  0.629  0.076  0.652
N  0.629  0.424  0.652
N  0.708  0.593  0.571
N  0.708  0.907  0.571
N  0.721  0.750  0.973
N  0.723  0.250  0.153
N  0.777  0.750  0.653
N  0.779  0.250  0.473
N  0.792  0.093  0.071
N  0.792  0.407  0.071
N  0.871  0.576  0.152
N  0.871  0.924  0.152
N  0.974  0.585  0.469
N  0.974  0.915  0.469
N  0.979  0.250  0.890
O  0.004  0.188  0.210
O  0.004  0.312  0.210
O  0.113  0.171  0.128
O  0.113  0.329  0.128
O  0.182  0.169  0.655
O  0.182  0.331  0.655
O  0.183  0.516  0.175
O  0.183  0.984  0.175
O  0.200  0.654  0.218
O  0.200  0.846  0.218
O  0.202  0.001  0.604
O  0.202  0.499  0.604
O  0.298  0.501  0.104
O  0.298  0.999  0.104
O  0.300  0.154  0.718
O  0.300  0.346  0.718
O  0.317  0.016  0.675
O  0.317  0.484  0.675
O  0.318  0.669  0.155
O  0.318  0.831  0.155
O  0.387  0.671  0.628
O  0.387  0.829  0.628
O  0.496  0.688  0.710
O  0.496  0.812  0.710
O  0.504  0.188  0.290
O  0.504  0.312  0.290
O  0.613  0.171  0.372
O  0.613  0.329  0.372
O  0.682  0.169  0.845
O  0.682  0.331  0.845
O  0.683  0.516  0.325
O  0.683  0.984  0.325
O  0.700  0.654  0.282
O  0.700  0.846  0.282
O  0.702  0.001  0.896
O  0.702  0.499  0.896
O  0.798  0.501  0.396
O  0.798  0.999  0.396
O  0.800  0.154  0.782
O  0.800  0.346  0.782
O  0.817  0.016  0.825
O  0.817  0.484  0.825
O  0.818  0.669  0.345
O  0.818  0.831  0.345
O  0.887  0.671  0.872
O  0.887  0.829  0.872
O  0.996  0.688  0.790
O  0.996  0.812  0.790

Properties
- DFT formation energy (eV/atom) = 1.33
- energy relative to the lowest polymorph listed for this composition (eV per atom) = 0.059
- symmetry = Pnma, No. 62
- VASP energy (eV per cell) = -494.266


(10)
LiCaFe3SnO8 | PBE+U | optimized geometry

Cell: 6.094 11.000 9.342 Å, 90.00 90.15 90.00°
Sites, in units of the cell vectors:
Li  0.118  0.000  0.000
Li  0.134  0.752  0.451
Li  0.866  0.252  0.549
Li  0.882  0.500  0.000
Ca  0.374  0.274  0.506
Ca  0.383  0.460  0.010
Ca  0.617  0.960  0.990
Ca  0.626  0.774  0.494
Fe  0.127  0.998  0.314
Fe  0.129  0.510  0.341
Fe  0.376  0.010  0.662
Fe  0.376  0.221  0.188
Fe  0.376  0.506  0.684
Fe  0.376  0.717  0.169
Fe  0.624  0.006  0.316
Fe  0.624  0.217  0.831
Fe  0.624  0.510  0.338
Fe  0.624  0.721  0.812
Fe  0.871  0.010  0.659
Fe  0.873  0.498  0.686
Sn  0.122  0.219  0.832
Sn  0.126  0.736  0.808
Sn  0.874  0.236  0.192
Sn  0.878  0.719  0.168
O  0.121  0.140  0.627
O  0.123  0.907  0.724
O  0.124  0.544  0.834
O  0.128  0.591  0.129
O  0.130  0.454  0.549
O  0.131  0.187  0.332
O  0.131  0.279  0.046
O  0.133  0.829  0.232
O  0.373  0.041  0.166
O  0.373  0.092  0.869
O  0.376  0.399  0.277
O  0.377  0.639  0.369
O  0.378  0.334  0.779
O  0.379  0.689  0.664
O  0.379  0.956  0.452
O  0.382  0.772  0.954
O  0.618  0.272  0.046
O  0.621  0.189  0.336
O  0.621  0.456  0.548
O  0.622  0.834  0.221
O  0.623  0.139  0.631
O  0.624  0.899  0.723
O  0.627  0.541  0.834
O  0.627  0.592  0.131
O  0.867  0.329  0.768
O  0.869  0.687  0.668
O  0.869  0.779  0.954
O  0.870  0.954  0.451
O  0.872  0.091  0.871
O  0.876  0.044  0.166
O  0.877  0.407  0.276
O  0.879  0.640  0.373

Properties
- DFT formation energy (eV/atom) = -2.08
- symmetry = P2_1, No. 4
- VASP energy (eV per cell) = -359.019


no.,V (Å³ per cell)
1,262
2,675
3,259
4,164
5,74
6,150
7,221
8,309
9,1889
10,626